Here is TaZn2FeO6 after structural relaxation from the Materials Project. Energies are from PBE+U.

Summary:
- Formation energy: -2.22 eV/atom

Lattice parameters (Å, degrees): 5.262 7.717 5.341 90.00 90.82 90.00
Space group P2_1/m (No. 11)
Inequivalent atoms, fractional coordinates:
Ta (0.000, 0.000, 0.000)
Zn (0.016, 0.250, 0.483)
Zn (0.497, 0.750, 0.046)
Fe (0.500, 0.000, 0.500)
O (0.121, 0.250, 0.065)
O (0.167, 0.564, 0.321)
O (0.320, 0.565, 0.827)
O (0.385, 0.250, 0.580)

=====

Here is Ta2Zn2FeO8 after structural relaxation from the Materials Project. Energies are from PBE+U.

Summary:
- Formation energy: -2.59 eV/atom

Lattice parameters (Å, degrees): 5.949 10.625 11.453 117.21 104.95 90.04
Space group P1 (No. 1)
Inequivalent atoms, fractional coordinates:
Ta (0.000, 0.000, 0.000)
Ta (0.000, 0.500, 0.000)
Ta (0.230, 0.215, 0.462)
Ta (0.231, 0.715, 0.462)
Ta (0.314, 0.250, 0.000)
Ta (0.315, 0.750, 0.000)
Ta (0.544, 0.465, 0.463)
Ta (0.544, 0.965, 0.462)
Zn (0.143, 0.065, 0.667)
Zn (0.144, 0.565, 0.668)
Zn (0.402, 0.399, 0.794)
Zn (0.402, 0.899, 0.795)
Zn (0.708, 0.150, 0.795)
Zn (0.708, 0.650, 0.795)
Zn (0.836, 0.315, 0.666)
Zn (0.836, 0.815, 0.666)
Fe (0.625, 0.107, 0.232)
Fe (0.626, 0.606, 0.232)
Fe (0.919, 0.356, 0.232)
Fe (0.920, 0.856, 0.232)
O (0.091, 0.378, 0.090)
O (0.091, 0.878, 0.090)
O (0.115, 0.356, 0.618)
O (0.115, 0.855, 0.618)
O (0.200, 0.339, 0.876)
O (0.200, 0.839, 0.876)
O (0.226, 0.338, 0.371)
O (0.227, 0.837, 0.370)
O (0.312, 0.128, 0.090)
O (0.313, 0.628, 0.090)
O (0.345, 0.125, 0.585)
O (0.346, 0.626, 0.586)
O (0.429, 0.108, 0.843)
O (0.429, 0.609, 0.843)
O (0.458, 0.088, 0.371)
O (0.458, 0.587, 0.371)
O (0.553, 0.376, 0.586)
O (0.553, 0.876, 0.586)
O (0.592, 0.371, 0.112)
O (0.592, 0.873, 0.112)
O (0.703, 0.338, 0.351)
O (0.704, 0.839, 0.351)
O (0.729, 0.359, 0.843)
O (0.729, 0.858, 0.843)
O (0.816, 0.105, 0.618)
O (0.817, 0.605, 0.618)
O (0.833, 0.122, 0.111)
O (0.835, 0.622, 0.113)
O (0.960, 0.088, 0.350)
O (0.961, 0.588, 0.351)
O (0.991, 0.089, 0.876)
O (0.991, 0.589, 0.876)

=====

Here is Tb3Fe5O12 after structural relaxation from the Materials Project. Energies are from PBE+U.

Summary:
- Formation energy: -2.54 eV/atom
- Polymorph energy (0 for the lowest one): 0.000 eV/atom

Lattice parameters (Å, degrees): 12.573 12.573 12.573 90.00 90.00 90.00
Space group Ia-3d (No. 230)
Inequivalent atoms, fractional coordinates:
Tb (0.000, 0.250, 0.125)
Fe (0.000, 0.000, 0.000)
Fe (0.000, 0.250, 0.375)
O (0.028, 0.056, 0.650)

=====

Here is Tb3Fe5O12 after structural relaxation from the Materials Project. Energies are from PBE+U.

Summary:
- Formation energy: -2.54 eV/atom
- Polymorph energy (0 for the lowest one): 0.006 eV/atom

Lattice parameters (Å, degrees): 17.6705 17.6705 10.8317 90.00 90.00 120.00
Space group R-3 (No. 148, hexagonal axes)
Inequivalent atoms, fractional coordinates:
Tb (0.9996, 0.1255, 0.2498)
Tb (0.0002, 0.3731, 0.7501)
Fe (0.0000, 0.0000, 0.0000)
Fe (0.0000, 0.0000, 0.5000)
Fe (0.0000, 0.5000, 0.0000)
Fe (0.0000, 0.5000, 0.5000)
Fe (0.0420, 0.8319, 0.0846)
Fe (0.0439, 0.2102, 0.5830)
O (0.0043, 0.0914, 0.6189)
O (0.0049, 0.9134, 0.1213)
O (0.0348, 0.7513, 0.3799)
O (0.0417, 0.2849, 0.8781)
O (0.0574, 0.8187, 0.9139)
O (0.0593, 0.2390, 0.4113)
O (0.0706, 0.5207, 0.8473)
O (0.0716, 0.5518, 0.3469)